Record 1
Compound: V6Si7Ni16
Source: the Materials Project database
Functional: GGA-PBE
Structure: optimized geometry

Structure (POSCAR):
```
V6Si7Ni16
1.0
0.000 5.524 5.524
5.524 0.000 5.524
5.524 5.524 0.000
V Si Ni
6 7 16
Direct
0.191 0.191 0.809
0.809 0.191 0.809
0.191 0.809 0.809
0.191 0.809 0.191
0.809 0.191 0.191
0.809 0.809 0.191
0.000 0.000 0.500
0.500 0.500 0.500
0.000 0.500 0.000
0.500 0.500 0.000
0.500 0.000 0.000
0.500 0.000 0.500
0.000 0.500 0.500
0.834 0.834 0.498
0.853 0.382 0.382
0.618 0.618 0.147
0.834 0.834 0.834
0.498 0.834 0.834
0.382 0.853 0.382
0.382 0.382 0.382
0.166 0.166 0.502
0.618 0.147 0.618
0.147 0.618 0.618
0.618 0.618 0.618
0.166 0.502 0.166
0.382 0.382 0.853
0.502 0.166 0.166
0.834 0.498 0.834
0.166 0.166 0.166
```

Space-group type = Fm-3m (225)
Total moment = 2.39 μB/cell
Final energy = -6.8457 eV per atom

Record 2
Compound: K2SnHgTe4
Source: the Materials Project database
Functional: GGA-PBE
Structure: optimized geometry

Structure (POSCAR):
```
K2SnHgTe4
1.0
5.070 -1.334 5.008
-5.255 4.713 1.653
-3.361 -6.334 -1.071
K Sn Hg Te
2 1 1 4
Direct
0.500 0.000 0.500
0.000 0.500 0.500
0.000 0.000 0.000
0.500 0.500 0.000
0.587 0.938 0.000
0.938 0.587 0.000
0.062 0.062 0.649
0.413 0.413 0.351
```

Space-group type = I-42m (121)
Largest piezoelectric modulus = 0.30 C/m2
Total moment = 0.00 μB/cell
Final energy = -2.9504 eV per atom

Record 3
Compound: Fe3Ge
Source: the Materials Project database
Functional: GGA-PBE
Structure: optimized geometry

Structure (POSCAR):
```
Fe3Ge
1.0
2.888 4.260 0.069
-4.163 -0.239 -3.018
-2.361 1.550 3.133
Fe Ge
6 2
Direct
0.837 0.163 0.250
0.837 0.675 0.250
0.325 0.163 0.250
0.163 0.837 0.750
0.163 0.325 0.750
0.675 0.837 0.750
0.333 0.667 0.250
0.667 0.333 0.750
```

Space-group type = P6_3/mmc (194)
Final energy = -7.6036 eV per atom

Record 4
Compound: BaCaTbSnO6
Source: the Materials Project database
Functional: GGA-PBE
Structure: optimized geometry

Structure (POSCAR):
```
BaCaTbSnO6
1.0
-2.787 -5.404 5.983
6.722 1.862 4.812
-4.326 6.246 3.627
Ba Ca Tb Sn O
4 4 4 4 24
Direct
0.000 0.000 0.000
0.500 0.500 0.500
0.500 0.500 0.000
0.000 0.000 0.500
0.000 0.500 0.500
0.500 0.000 0.500
0.500 0.000 0.000
0.000 0.500 0.000
0.250 0.250 0.250
0.750 0.750 0.250
0.750 0.250 0.750
0.250 0.750 0.750
0.750 0.750 0.750
0.250 0.250 0.750
0.250 0.750 0.250
0.750 0.250 0.250
0.991 0.218 0.281
0.009 0.782 0.281
0.009 0.218 0.719
0.991 0.782 0.719
0.287 0.990 0.194
0.287 0.010 0.806
0.713 0.010 0.194
0.713 0.990 0.806
0.203 0.302 0.990
0.797 0.302 0.010
0.203 0.698 0.010
0.797 0.698 0.990
0.509 0.282 0.219
0.491 0.718 0.219
0.491 0.282 0.781
0.509 0.718 0.781
0.213 0.510 0.306
0.213 0.490 0.694
0.787 0.490 0.306
0.787 0.510 0.694
0.297 0.198 0.510
0.703 0.198 0.490
0.297 0.802 0.490
0.703 0.802 0.510
```

Relative energy among the computed polymorphs = 1 meV/atom
Space-group type = Pnnn (48)
Total moment = 4.00 μB/cell
Final energy = -6.6870 eV per atom

Record 5
Compound: LuTiGe
Source: the Materials Project database
Functional: GGA-PBE
Structure: optimized geometry

Structure (POSCAR):
```
LuTiGe
1.0
-0.987 1.226 -3.688
-1.092 -3.739 -0.951
-6.987 1.442 2.349
Lu Ti Ge
2 2 2
Direct
0.000 0.500 0.342
0.500 0.000 0.658
0.500 0.500 0.000
0.000 0.000 0.000
0.500 0.000 0.253
0.000 0.500 0.747
```

Space-group type = P4/nmm (129)
Final energy = -6.3778 eV per atom

Record 6
Compound: Cr2P3S12
Source: the Materials Project database
Functional: GGA-PBE
Structure: optimized geometry

Structure (POSCAR):
```
Cr2P3S12
1.0
-2.988 -8.912 6.841
3.318 -6.305 -6.763
18.543 -4.947 1.656
Cr P S
8 12 48
Direct
0.778 0.791 0.101
0.268 0.218 0.210
0.768 0.782 0.290
0.278 0.209 0.399
0.722 0.791 0.601
0.232 0.218 0.710
0.732 0.782 0.790
0.222 0.209 0.899
0.238 0.221 0.053
0.691 0.064 0.136
0.864 0.520 0.253
0.364 0.480 0.247
0.191 0.936 0.364
0.738 0.779 0.447
0.262 0.221 0.553
0.809 0.064 0.636
0.636 0.520 0.753
0.136 0.480 0.747
0.309 0.936 0.864
0.762 0.779 0.947
0.671 0.662 0.046
0.126 0.099 0.020
0.623 0.956 0.073
0.156 0.349 0.099
0.686 0.281 0.090
0.941 0.640 0.146
0.350 0.099 0.140
0.430 0.372 0.184
0.852 0.949 0.163
0.370 0.698 0.202
0.700 0.626 0.227
0.610 0.943 0.241
0.110 0.057 0.259
0.200 0.374 0.273
0.870 0.302 0.298
0.930 0.628 0.316
0.352 0.051 0.337
0.441 0.360 0.354
0.850 0.901 0.360
0.186 0.719 0.410
0.656 0.651 0.401
0.123 0.044 0.427
0.171 0.338 0.454
0.626 0.901 0.480
0.374 0.099 0.520
0.829 0.662 0.546
0.877 0.956 0.573
0.344 0.349 0.599
0.814 0.281 0.590
0.150 0.099 0.640
0.559 0.640 0.646
0.648 0.949 0.663
0.070 0.372 0.684
0.130 0.698 0.702
0.800 0.626 0.727
0.890 0.943 0.741
0.390 0.057 0.759
0.300 0.374 0.773
0.630 0.302 0.798
0.148 0.051 0.837
0.570 0.628 0.816
0.650 0.901 0.860
0.059 0.360 0.854
0.314 0.719 0.910
0.844 0.651 0.901
0.377 0.044 0.927
0.874 0.901 0.980
0.329 0.338 0.954
```

Space-group type = P2_1/c (14)
Total moment = 0.01 μB/cell
Final energy = -5.2104 eV per atom

Record 7
Compound: Na4Hf2Sc2Si3S3O24
Source: the Materials Project database
Functional: GGA-PBE
Structure: optimized geometry

Structure (POSCAR):
```
Na4Hf2Sc2Si3S3O24
1.0
9.041 0.033 0.018
-4.492 7.791 -0.009
0.046 0.000 23.016
Na Hf Sc Si S O
12 6 6 9 9 72
Direct
0.995 0.644 0.252
0.995 0.354 0.741
0.663 0.977 0.589
0.670 0.696 0.081
0.336 0.307 0.904
0.321 0.022 0.421
0.010 0.999 0.503
0.986 0.979 0.995
0.655 0.327 0.821
0.663 0.343 0.332
0.331 0.676 0.169
0.328 0.666 0.661
0.012 0.016 0.647
0.000 0.986 0.151
0.678 0.349 0.980
0.677 0.338 0.485
0.334 0.670 0.313
0.354 0.672 0.809
0.001 0.983 0.351
0.986 0.995 0.848
0.653 0.315 0.685
0.668 0.338 0.190
0.332 0.673 0.018
0.308 0.661 0.522
0.300 0.005 0.252
0.702 0.706 0.250
0.296 0.289 0.755
0.711 0.003 0.748
0.961 0.336 0.587
0.372 0.039 0.580
0.967 0.627 0.086
0.631 0.675 0.920
0.034 0.662 0.416
0.002 0.289 0.250
0.001 0.708 0.751
0.668 0.625 0.584
0.669 0.044 0.083
0.374 0.331 0.083
0.042 0.377 0.917
0.334 0.960 0.918
0.627 0.958 0.418
0.333 0.376 0.417
0.215 0.032 0.310
0.831 0.800 0.303
0.980 0.188 0.302
0.211 0.184 0.815
0.980 0.790 0.804
0.828 0.028 0.805
0.793 0.967 0.690
0.167 0.198 0.699
0.029 0.814 0.699
0.788 0.822 0.189
0.025 0.209 0.197
0.168 0.968 0.196
0.877 0.363 0.645
0.496 0.132 0.635
0.643 0.523 0.635
0.873 0.515 0.143
0.645 0.123 0.135
0.482 0.357 0.133
0.452 0.303 0.029
0.835 0.531 0.030
0.684 0.146 0.030
0.457 0.154 0.520
0.691 0.542 0.531
0.834 0.304 0.530
0.537 0.688 0.979
0.148 0.463 0.968
0.311 0.855 0.970
0.553 0.858 0.470
0.320 0.461 0.468
0.164 0.698 0.469
0.126 0.638 0.356
0.513 0.871 0.366
0.356 0.482 0.364
0.112 0.479 0.864
0.354 0.877 0.866
0.498 0.634 0.865
0.024 0.840 0.412
0.798 0.988 0.408
0.179 0.205 0.411
0.030 0.207 0.914
0.186 0.987 0.914
0.821 0.835 0.913
0.963 0.152 0.588
0.181 0.012 0.589
0.824 0.797 0.588
0.971 0.816 0.088
0.825 0.029 0.086
0.200 0.181 0.089
0.701 0.178 0.746
0.487 0.325 0.746
0.851 0.537 0.746
0.696 0.522 0.244
0.853 0.315 0.244
0.488 0.163 0.241
0.633 0.488 0.925
0.866 0.351 0.926
0.491 0.132 0.924
0.629 0.128 0.420
0.486 0.352 0.419
0.843 0.492 0.422
0.362 0.490 0.077
0.155 0.651 0.076
0.520 0.868 0.078
0.372 0.858 0.576
0.521 0.651 0.575
0.152 0.494 0.579
0.300 0.820 0.256
0.512 0.681 0.257
0.157 0.464 0.254
0.292 0.474 0.759
0.154 0.687 0.759
0.518 0.835 0.756
```

Space-group type = P1 (1)
Total moment = 0.00 μB/cell
Final energy = -7.3294 eV per atom

Record 8
Compound: Ga2Te3
Source: the Materials Project database
Functional: GGA-PBE
Structure: optimized geometry

Structure (POSCAR):
```
Ga2Te3
1.0
-5.565 -3.980 2.844
-4.200 -6.084 -0.495
8.162 -8.726 8.836
Ga Te
4 6
Direct
0.054 0.054 0.651
0.073 0.073 0.165
0.305 0.305 0.276
0.819 0.819 0.532
0.507 0.507 0.754
0.003 0.003 0.484
0.735 0.735 0.377
0.499 0.499 0.263
0.254 0.254 0.113
0.250 0.250 0.632
```

Space-group type = Cm (8)
Total moment = 0.01 μB/cell
Final energy = -3.2799 eV per atom

Record 9
Compound: Ta3Cr8Si
Source: the Materials Project database
Functional: GGA-PBE
Structure: optimized geometry

Structure (POSCAR):
```
Ta3Cr8Si
1.0
2.423 -4.197 0.000
2.423 4.197 0.000
0.000 0.000 7.956
Ta Cr Si
3 8 1
Direct
0.333 0.667 0.443
0.333 0.667 0.060
0.667 0.333 0.933
0.000 0.000 0.500
0.000 0.000 0.001
0.169 0.339 0.747
0.169 0.831 0.747
0.661 0.831 0.747
0.829 0.657 0.253
0.829 0.171 0.253
0.343 0.171 0.253
0.667 0.333 0.563
```

Space-group type = P3m1 (156)
Total moment = 0.00 μB/cell
Final energy = -9.9269 eV per atom

Record 10
Compound: CsGaH4
Source: the Materials Project database
Functional: GGA-PBE
Structure: optimized geometry

Structure (POSCAR):
```
CsGaH4
1.0
5.564 0.000 0.000
0.000 5.564 0.000
0.000 0.000 7.786
Cs Ga H
2 2 8
Direct
0.500 0.500 0.000
0.000 0.000 0.500
0.000 0.000 0.000
0.500 0.500 0.500
0.000 0.765 0.881
0.000 0.235 0.881
0.765 0.000 0.119
0.235 0.000 0.119
0.265 0.500 0.381
0.735 0.500 0.381
0.500 0.265 0.619
0.500 0.735 0.619
```

Space-group type = P4_2/nmc (137)
Final energy = -3.1106 eV per atom

Record 11
Compound: VCr2Te4
Source: the Materials Project database
Functional: GGA-PBE
Structure: optimized geometry

Structure (POSCAR):
```
VCr2Te4
1.0
2.001 7.007 0.000
-2.001 7.007 0.000
0.000 3.259 6.140
V Cr Te
1 2 4
Direct
0.740 0.740 0.284
0.261 0.261 0.716
0.999 0.999 0.000
0.883 0.883 0.451
0.118 0.118 0.549
0.634 0.634 0.023
0.365 0.365 0.976
```

Relative energy among the computed polymorphs = 14 meV/atom
Space-group type = Cm (8)
Total moment = 9.00 μB/cell
Final energy = -6.0691 eV per atom

- Among the records above, which one has the highest final energy?
  K2SnHgTe4